# Er7Te2Au2 | the Materials Project | GGA-PBE | relaxed
data_Er7Te2Au2
_chemical_formula_sum 'Er28 Te8 Au8'
_cell_length_a 18.0320
_cell_length_b 4.0093
_cell_length_c 17.0629
_cell_angle_alpha 90.00
_cell_angle_beta 104.33
_cell_angle_gamma 90.00
_symmetry_space_group_name_H-M 'C 1 2/m 1'
_symmetry_Int_Tables_number 12
_symmetry_space_group_name_Hall '-C 2y'
loop_
_atom_site_label
_atom_site_type_symbol
_atom_site_fract_x
_atom_site_fract_y
_atom_site_fract_z
Er1 Er 0.0000 0.0000 0.0000
Er2 Er 0.0000 0.5000 0.5000
Er3 Er 0.0019 0.0000 0.3337
Er4 Er 0.0753 0.5000 0.1710
Er5 Er 0.1619 0.5000 0.9805
Er6 Er 0.1753 0.0000 0.5313
Er7 Er 0.1913 0.0000 0.3194
Er8 Er 0.2194 0.0000 0.8056
Te1 Te 0.0648 0.0000 0.8498
Te2 Te 0.1334 0.5000 0.6623
Au1 Au 0.1193 0.5000 0.3992
Au2 Au 0.1714 0.0000 0.1108
# **Volume**: 27.2 Å³ per atom
# **Final energy**: -215.2 eV/cell
# **Energy of formation**: -9.0 eV per formula unit